Record 1
This record from the Materials Project database describes a relaxed structure of SrCa7Ti3Mn5O22. The functional is PBE+U.

Structure (POSCAR):
```
SrCa7Ti3Mn5O22
1.0
11.005 -0.026 -0.104
-0.036 15.737 0.008
-0.102 0.006 10.953
Ti O Mn Ca Sr
12 88 20 28 4
direct
0.252 0.747 0.005
0.977 0.257 0.268
0.000 0.743 0.251
0.232 0.990 0.516
0.987 0.990 0.760
0.269 0.235 0.455
0.995 0.258 0.771
0.000 0.504 0.251
0.233 0.984 0.011
0.266 0.238 0.935
0.986 0.986 0.261
0.249 0.517 0.008
0.644 0.727 0.357
0.860 0.479 0.642
0.108 0.978 0.117
0.894 0.516 0.386
0.485 0.627 0.714
0.858 0.980 0.647
0.010 0.377 0.283
0.611 0.762 0.113
0.194 0.156 0.023
0.012 0.878 0.798
0.227 0.634 0.539
0.293 0.335 0.528
0.148 0.734 0.859
0.611 0.490 0.613
0.862 0.771 0.142
0.594 0.985 0.579
0.639 0.029 0.845
0.360 0.018 0.120
0.567 0.249 0.095
0.149 0.737 0.355
0.019 0.377 0.788
0.396 0.196 0.361
0.110 0.778 0.110
0.896 0.516 0.888
0.579 0.259 0.581
0.750 0.130 0.542
0.386 0.516 0.400
0.749 0.377 0.965
0.361 0.493 0.140
0.351 0.495 0.644
0.600 0.985 0.079
0.750 0.869 0.462
0.144 0.519 0.356
0.747 0.378 0.468
0.749 0.872 0.960
0.865 0.482 0.139
0.284 0.339 0.009
0.662 0.227 0.851
0.156 0.249 0.332
0.352 0.013 0.641
0.277 0.877 0.969
0.356 0.767 0.150
0.397 0.185 0.857
0.855 0.277 0.153
0.896 0.734 0.893
0.507 0.868 0.284
0.892 0.014 0.895
0.488 0.626 0.215
0.994 0.135 0.224
0.178 0.254 0.790
0.859 0.977 0.146
0.396 0.729 0.402
0.009 0.875 0.296
0.226 0.629 0.049
0.930 0.241 0.917
0.219 0.142 0.539
0.391 0.727 0.908
0.758 0.126 0.036
0.993 0.623 0.716
0.645 0.726 0.861
0.876 0.271 0.653
0.752 0.625 0.539
0.885 0.013 0.390
0.641 0.520 0.863
0.281 0.885 0.468
0.158 0.014 0.866
0.619 0.492 0.120
0.654 0.220 0.342
0.006 0.126 0.735
0.112 0.475 0.104
0.146 0.519 0.858
0.108 0.778 0.607
0.613 0.762 0.610
0.383 0.520 0.900
0.492 0.382 0.769
0.507 0.867 0.786
0.145 0.016 0.370
0.756 0.625 0.037
0.106 0.974 0.616
0.106 0.477 0.603
0.897 0.730 0.390
0.633 0.030 0.346
0.861 0.771 0.642
0.353 0.770 0.648
0.996 0.626 0.210
0.899 0.244 0.408
0.641 0.521 0.362
0.495 0.380 0.281
0.518 0.258 0.256
0.250 0.750 0.507
0.001 0.748 0.750
0.750 0.746 0.501
0.507 0.989 0.734
0.499 0.506 0.254
0.742 0.253 0.505
0.247 0.512 0.505
0.751 0.503 0.001
0.747 0.504 0.504
0.752 0.747 0.999
0.506 0.989 0.230
0.751 0.252 0.003
0.500 0.746 0.254
0.515 0.256 0.749
0.744 0.995 0.991
0.001 0.503 0.748
0.739 0.995 0.492
0.500 0.746 0.753
0.496 0.507 0.750
0.498 0.854 0.497
0.729 0.859 0.747
0.270 0.629 0.751
0.966 0.865 0.007
0.003 0.626 0.989
0.227 0.113 0.739
0.987 0.114 0.011
0.493 0.395 0.508
0.530 0.625 0.000
0.229 0.861 0.754
0.009 0.626 0.504
0.778 0.123 0.755
0.549 0.124 0.982
0.736 0.395 0.254
0.729 0.859 0.247
0.965 0.866 0.510
0.236 0.399 0.742
0.232 0.857 0.259
0.276 0.629 0.270
0.768 0.624 0.755
0.757 0.624 0.251
0.502 0.855 0.997
0.961 0.390 0.503
0.771 0.118 0.248
0.547 0.125 0.483
0.731 0.392 0.752
0.967 0.391 0.997
0.525 0.625 0.502
0.244 0.393 0.252
0.502 0.390 0.999
0.226 0.118 0.232
0.989 0.119 0.511
```

Properties
Its space group is No. 1. The density is 3.987 Mg/m³. The value obtained for the energy is -1125.28 eV/cell. As for the distance to the lowest polymorph of the same formula: 0.000 eV/atom.

---

Record 2
This record from the Materials Project database describes a relaxed structure of K3Na5VMo7O24. The functional is PBE+U.

Structure (POSCAR):
```
K3Na5VMo7O24
1.0
5.611 5.618 0.000
-5.611 5.618 0.000
0.000 0.012 7.917
O Mo K Na V
24 7 3 5 1
direct
0.998 0.740 0.003
0.501 0.246 0.496
0.743 0.502 0.003
0.256 0.000 0.496
0.999 0.501 0.255
0.501 0.999 0.255
0.998 0.998 0.739
0.740 0.998 0.003
0.000 0.256 0.496
0.501 0.258 0.005
0.260 0.000 0.005
0.246 0.501 0.496
0.000 0.260 0.005
0.258 0.501 0.005
0.998 0.744 0.497
0.753 0.502 0.497
0.744 0.998 0.497
0.501 0.501 0.256
0.998 0.502 0.744
0.000 0.000 0.259
0.502 0.753 0.497
0.502 0.743 0.003
0.502 0.998 0.744
0.502 0.502 0.746
0.999 0.999 0.499
0.000 0.000 0.001
0.501 0.999 0.498
0.999 0.500 0.002
0.500 0.999 0.002
0.501 0.501 0.002
0.999 0.501 0.498
0.252 0.748 0.746
0.748 0.252 0.746
0.252 0.252 0.746
0.747 0.747 0.745
0.253 0.253 0.255
0.253 0.747 0.255
0.747 0.253 0.255
0.747 0.747 0.255
0.501 0.501 0.498
```

Properties
Its space group is No. 8. The density is 4.454 Mg/m³. The value obtained for the energy is -256.55 eV/cell.

---

Record 3
This record from the Materials Project database describes a relaxed structure of Ca3Cr6Fe4O24. The functional is PBE+U.

Structure (POSCAR):
```
Ca3Cr6Fe4O24
1.0
-6.350 -0.526 2.492
4.637 -5.000 5.277
3.118 9.310 1.890
O Fe Cr Ca
24 4 6 3
direct
0.015 0.712 0.150
0.935 0.954 0.859
0.536 0.213 0.721
0.781 0.285 0.553
0.128 0.016 0.650
0.257 0.538 0.736
0.238 0.790 0.962
0.158 0.300 0.420
0.219 0.715 0.447
0.352 0.258 0.019
0.648 0.742 0.981
0.762 0.210 0.038
0.842 0.700 0.580
0.743 0.462 0.264
0.331 0.039 0.423
0.464 0.787 0.279
0.669 0.961 0.577
0.438 0.876 0.769
0.562 0.124 0.231
0.985 0.288 0.850
0.872 0.984 0.350
0.823 0.550 0.818
0.177 0.450 0.182
0.065 0.046 0.141
0.042 0.211 0.025
0.379 0.955 0.603
0.621 0.045 0.397
0.958 0.789 0.975
0.781 0.342 0.736
0.398 0.741 0.865
0.602 0.259 0.135
0.106 0.097 0.331
0.219 0.658 0.264
0.894 0.903 0.669
0.285 0.303 0.790
0.000 0.500 0.500
0.715 0.697 0.210
```

Properties
Its space group is No. 2. The density is 3.356 Mg/m³. The value obtained for the energy is -253.02 eV/cell.

---

Record 4
This record from the Materials Project database describes a relaxed structure of LiCoC2O6. The functional is PBE+U.

Structure (POSCAR):
```
LiCoC2O6
1.0
-4.240 0.898 2.826
-1.128 0.035 -6.530
-3.082 -15.209 0.533
O C Co Li
24 8 4 4
direct
0.096 0.581 0.629
0.128 0.100 0.613
0.283 0.896 0.944
0.914 0.892 0.874
0.728 0.588 0.697
0.262 0.400 0.810
0.278 0.912 0.439
0.867 0.384 0.866
0.242 0.803 0.802
0.722 0.625 0.190
0.171 0.306 0.951
0.881 0.385 0.370
0.895 0.901 0.377
0.728 0.069 0.560
0.095 0.620 0.122
0.695 0.075 0.068
0.211 0.343 0.454
0.804 0.199 0.204
0.117 0.134 0.117
0.302 0.454 0.315
0.779 0.671 0.554
0.784 0.716 0.049
0.207 0.810 0.298
0.805 0.145 0.703
0.131 0.390 0.382
0.873 0.139 0.130
0.868 0.657 0.119
0.129 0.870 0.368
0.148 0.860 0.871
0.865 0.618 0.623
0.884 0.109 0.629
0.101 0.359 0.878
0.989 0.481 0.750
0.014 0.012 0.496
0.012 0.015 0.998
0.976 0.490 0.248
0.647 0.863 0.779
0.586 0.776 0.289
0.412 0.754 0.040
0.372 0.599 0.535
```

Properties
Its space group is No. 1. The density is 2.528 Mg/m³. The value obtained for the energy is -274.90 eV/cell. As for the distance to the lowest polymorph of the same formula: 0.037 eV/atom.